[1]
Entry from the Materials Project: crystalline Na4Mn9O18 at its relaxed geometry (GGA+U).

```
data_Na4Mn9O18
_cell_length_a 2.920
_cell_length_b 9.224
_cell_length_c 26.525
_cell_angle_alpha 90.00
_cell_angle_beta 90.00
_cell_angle_gamma 90.00
_symmetry_space_group_name_H-M 'P m c 21'
_symmetry_Int_Tables_number 26
_symmetry_space_group_name_Hall 'P 2c -2'
loop_
_atom_site_label
_atom_site_type_symbol
_atom_site_fract_x
_atom_site_fract_y
_atom_site_fract_z
Na1 Na 0.000 0.031 0.000
Na2 Na 0.000 0.377 0.200
Na3 Na 0.000 0.466 0.409
Na4 Na 0.500 0.036 0.782
Mn1 Mn 0.000 0.212 0.898
Mn2 Mn 0.000 0.231 0.093
Mn3 Mn 0.000 0.257 0.701
Mn4 Mn 0.000 0.272 0.313
Mn5 Mn 0.000 0.292 0.511
Mn6 Mn 0.500 0.107 0.616
Mn7 Mn 0.500 0.115 0.396
Mn8 Mn 0.500 0.383 0.010
Mn9 Mn 0.500 0.387 0.791
O1 O 0.000 0.027 0.105
O2 O 0.000 0.072 0.347
O3 O 0.000 0.168 0.439
O4 O 0.000 0.246 0.629
O5 O 0.000 0.247 0.777
O6 O 0.000 0.332 0.966
O7 O 0.000 0.423 0.057
O8 O 0.000 0.475 0.296
O9 O 0.500 0.082 0.921
O10 O 0.500 0.120 0.699
O11 O 0.500 0.174 0.536
O12 O 0.500 0.195 0.043
O13 O 0.500 0.227 0.270
O14 O 0.500 0.277 0.136
O15 O 0.500 0.306 0.363
O16 O 0.500 0.326 0.869
O17 O 0.500 0.397 0.708
O18 O 0.500 0.418 0.486
```

Calculated density: 4.1 g cm⁻³
Magnetic moment: 62.0 μB/cell
DFT formation energy: -1.961 eV per atom

---

[2]
Entry from the Materials Project: crystalline NaMn2O4 at its relaxed geometry (GGA+U).

```
data_NaMn2O4
_cell_length_a 5.705
_cell_length_b 11.415
_cell_length_c 4.951
_cell_angle_alpha 90.00
_cell_angle_beta 90.00
_cell_angle_gamma 90.00
_symmetry_space_group_name_H-M 'P m m n'
_symmetry_Int_Tables_number 59
loop_
_symmetry_equiv_pos_as_xyz
'x,y,z'
'-x,-y,-z'
'-x+1/2,-y+1/2,z'
'x+1/2,y+1/2,-z'
'x+1/2,-y,-z'
'-x+1/2,y,z'
'-x,y+1/2,-z'
'x,-y+1/2,z'
loop_
_atom_site_label
_atom_site_type_symbol
_atom_site_fract_x
_atom_site_fract_y
_atom_site_fract_z
Na1 Na 0.250 0.250 0.020
Na2 Na 0.250 0.750 0.358
Mn1 Mn 0.000 0.000 0.500
Mn2 Mn 0.250 0.505 0.996
O1 O 0.003 0.092 0.833
O2 O 0.250 0.086 0.326
O3 O 0.250 0.591 0.662
```

Calculated density: 4.1 g cm⁻³
Magnetic moment: 28.0 μB/cell
Energy relative to the lowest polymorph listed for this composition: 93.2 meV per atom
DFT formation energy: -1.888 eV per atom